Entry 1:
{"formula": "Na7Mg2In2P5SO24", "functional": "PBE", "state": "optimized geometry", "formation_energy_ev_per_atom": -2.576, "magnetic_moment_mub_per_cell": 0.0, "total_energy_ev_per_cell": -771.093, "cell": [[-4.116, -6.793, -4.370], [8.275, -1.236, 3.517], [-9.215, -6.773, 19.107]], "species": ["Na", "Na", "Na", "Na", "Na", "Na", "Na", "Na", "Na", "Na", "Na", "Na", "Na", "Na", "Na", "Na", "Na", "Na", "Na", "Na", "Na", "Mg", "Mg", "Mg", "Mg", "Mg", "Mg", "In", "In", "In", "In", "In", "In", "P", "P", "P", "P", "P", "P", "P", "P", "P", "P", "P", "P", "P", "P", "P", "S", "S", "S", "O", "O", "O", "O", "O", "O", "O", "O", "O", "O", "O", "O", "O", "O", "O", "O", "O", "O", "O", "O", "O", "O", "O", "O", "O", "O", "O", "O", "O", "O", "O", "O", "O", "O", "O", "O", "O", "O", "O", "O", "O", "O", "O", "O", "O", "O", "O", "O", "O", "O", "O", "O", "O", "O", "O", "O", "O", "O", "O", "O", "O", "O", "O", "O", "O", "O", "O", "O", "O", "O", "O", "O"], "frac_coords": [[0.643, 0.996, 0.253], [0.997, 0.627, 0.256], [0.633, 0.639, 0.748], [0.007, 0.368, 0.753], [0.363, 0.994, 0.753], [0.299, 0.332, 0.587], [0.036, 0.702, 0.582], [0.668, 0.964, 0.583], [0.299, 0.964, 0.079], [0.667, 0.699, 0.087], [0.036, 0.334, 0.083], [0.985, 0.670, 0.916], [0.328, 0.297, 0.919], [0.963, 0.306, 0.414], [0.703, 0.675, 0.418], [0.007, 0.992, 0.503], [0.996, 0.009, 0.003], [0.669, 0.310, 0.834], [0.657, 0.328, 0.333], [0.335, 0.642, 0.168], [0.334, 0.668, 0.667], [0.000, 0.000, 0.652], [0.996, 0.004, 0.151], [0.328, 0.668, 0.015], [0.334, 0.678, 0.515], [0.334, 0.663, 0.317], [0.329, 0.671, 0.817], [0.996, 0.996, 0.348], [0.001, 0.006, 0.848], [0.668, 0.333, 0.679], [0.668, 0.336, 0.180], [0.668, 0.321, 0.984], [0.666, 0.326, 0.485], [0.697, 0.697, 0.249], [0.002, 0.303, 0.249], [0.303, 0.304, 0.749], [0.999, 0.701, 0.750], [0.700, 0.998, 0.748], [0.976, 0.334, 0.583], [0.361, 0.030, 0.585], [0.665, 0.637, 0.582], [0.971, 0.639, 0.082], [0.666, 0.025, 0.086], [0.364, 0.334, 0.081], [0.040, 0.373, 0.916], [0.332, 0.964, 0.916], [0.628, 0.962, 0.415], [0.037, 0.668, 0.416], [0.297, 0.000, 0.249], [0.627, 0.667, 0.917], [0.333, 0.375, 0.418], [0.220, 0.025, 0.304], [0.807, 0.771, 0.307], [0.977, 0.198, 0.308], [0.230, 0.196, 0.808], [0.966, 0.776, 0.808], [0.815, 0.035, 0.804], [0.783, 0.975, 0.691], [0.189, 0.214, 0.695], [0.019, 0.813, 0.695], [0.791, 0.809, 0.194], [0.017, 0.211, 0.194], [0.196, 0.985, 0.195], [0.896, 0.372, 0.639], [0.473, 0.104, 0.642], [0.630, 0.523, 0.638], [0.894, 0.523, 0.139], [0.625, 0.100, 0.143], [0.487, 0.372, 0.134], [0.441, 0.299, 0.023], [0.851, 0.557, 0.027], [0.710, 0.152, 0.033], [0.447, 0.157, 0.532], [0.697, 0.552, 0.526], [0.860, 0.297, 0.527], [0.543, 0.678, 0.972], [0.144, 0.459, 0.973], [0.319, 0.864, 0.973], [0.544, 0.859, 0.472], [0.315, 0.453, 0.473], [0.131, 0.675, 0.475], [0.123, 0.647, 0.360], [0.532, 0.874, 0.357], [0.350, 0.479, 0.364], [0.126, 0.475, 0.859], [0.345, 0.879, 0.858], [0.530, 0.656, 0.862], [0.012, 0.827, 0.414], [0.814, 0.986, 0.415], [0.177, 0.203, 0.413], [0.022, 0.192, 0.915], [0.163, 0.976, 0.915], [0.804, 0.816, 0.916], [0.992, 0.173, 0.590], [0.183, 0.010, 0.591], [0.827, 0.813, 0.588], [0.990, 0.817, 0.090], [0.825, 0.006, 0.092], [0.188, 0.173, 0.089], [0.678, 0.159, 0.745], [0.485, 0.324, 0.745], [0.839, 0.519, 0.746], [0.681, 0.518, 0.245], [0.832, 0.312, 0.248], [0.475, 0.147, 0.246], [0.642, 0.508, 0.918], [0.862, 0.365, 0.919], [0.485, 0.152, 0.917], [0.655, 0.147, 0.417], [0.491, 0.361, 0.419], [0.851, 0.504, 0.417], [0.345, 0.493, 0.075], [0.148, 0.656, 0.075], [0.507, 0.849, 0.076], [0.346, 0.854, 0.576], [0.505, 0.655, 0.575], [0.154, 0.493, 0.576], [0.308, 0.841, 0.253], [0.524, 0.690, 0.255], [0.154, 0.486, 0.254], [0.322, 0.483, 0.756], [0.160, 0.683, 0.754], [0.522, 0.837, 0.755]]}

=====

Entry 2:
{"formula": "MgZn2Cu2H6Cl2O6", "functional": "PBE", "state": "optimized geometry", "formation_energy_ev_per_atom": -1.242, "magnetic_moment_mub_per_cell": 0.0, "total_energy_ev_per_cell": -85.535, "cell": [[0.024, 0.000, 6.625], [5.569, 0.000, -0.083], [0.000, 6.390, 0.000]], "species": ["Mg", "Zn", "Zn", "Cu", "Cu", "H", "H", "H", "H", "H", "H", "Cl", "Cl", "O", "O", "O", "O", "O", "O"], "frac_coords": [[0.679, 0.584, 0.250], [0.090, 0.479, 0.250], [0.932, 0.467, 0.750], [0.410, 0.500, 0.564], [0.410, 0.500, 0.936], [0.370, 0.827, 0.250], [0.609, 0.190, 0.750], [0.901, 0.839, 0.478], [0.175, 0.149, 0.954], [0.175, 0.149, 0.546], [0.901, 0.839, 0.022], [0.667, 0.148, 0.250], [0.323, 0.870, 0.750], [0.379, 0.651, 0.250], [0.634, 0.364, 0.750], [0.884, 0.665, 0.471], [0.128, 0.313, 0.978], [0.128, 0.313, 0.522], [0.884, 0.665, 0.029]]}

=====

Entry 3:
{"formula": "ScRu2", "functional": "PBE", "state": "optimized geometry", "formation_energy_ev_per_atom": -0.390, "total_energy_ev_per_cell": -104.206, "cell": [[2.578, -4.465, 0.000], [2.578, 4.465, 0.000], [0.000, 0.000, 8.629]], "species": ["Sc", "Sc", "Sc", "Sc", "Ru", "Ru", "Ru", "Ru", "Ru", "Ru", "Ru", "Ru"], "frac_coords": [[0.333, 0.667, 0.432], [0.667, 0.333, 0.568], [0.667, 0.333, 0.932], [0.333, 0.667, 0.068], [0.172, 0.344, 0.750], [0.172, 0.828, 0.750], [0.344, 0.172, 0.250], [0.828, 0.656, 0.250], [0.656, 0.828, 0.750], [0.000, 0.000, 0.000], [0.828, 0.172, 0.250], [0.000, 0.000, 0.500]]}

=====

Entry 4:
{"formula": "HoFe2", "functional": "PBE", "state": "optimized geometry", "formation_energy_ev_per_atom": -0.078, "magnetic_moment_mub_per_cell": 13.7, "total_energy_ev_per_cell": -87.022, "cell": [[-1.318, 3.759, -3.269], [0.434, -4.852, -1.693], [-8.016, -1.317, 1.719]], "species": ["Ho", "Ho", "Ho", "Ho", "Fe", "Fe", "Fe", "Fe", "Fe", "Fe", "Fe", "Fe"], "frac_coords": [[0.334, 0.667, 0.438], [0.666, 0.333, 0.562], [0.666, 0.333, 0.938], [0.334, 0.667, 0.062], [0.000, 0.000, 0.500], [0.000, 0.000, 0.000], [0.834, 0.166, 0.250], [0.834, 0.669, 0.250], [0.331, 0.166, 0.250], [0.166, 0.834, 0.750], [0.166, 0.331, 0.750], [0.669, 0.834, 0.750]]}

=====

Entry 5:
{"formula": "Nd2IrRh", "functional": "PBE", "state": "optimized geometry", "formation_energy_ev_per_atom": -0.622, "magnetic_moment_mub_per_cell": 0.0, "total_energy_ev_per_cell": -28.228, "cell": [[0.000, 3.547, 3.547], [3.547, 0.000, 3.547], [3.547, 3.547, 0.000]], "species": ["Nd", "Nd", "Ir", "Rh"], "frac_coords": [[0.250, 0.250, 0.250], [0.750, 0.750, 0.750], [0.500, 0.500, 0.500], [0.000, 0.000, 0.000]]}

=====

Entry 6:
{"formula": "K2TeH6SeO10", "functional": "PBE", "state": "optimized geometry", "formation_energy_ev_per_atom": -1.497, "magnetic_moment_mub_per_cell": 0.0, "total_energy_ev_per_cell": -203.551, "cell": [[3.266, 5.876, 0.000], [-3.266, 5.876, 0.000], [0.000, 4.085, 13.499]], "species": ["K", "K", "K", "K", "Te", "Te", "H", "H", "H", "H", "H", "H", "H", "H", "H", "H", "H", "H", "Se", "Se", "O", "O", "O", "O", "O", "O", "O", "O", "O", "O", "O", "O", "O", "O", "O", "O", "O", "O", "O", "O"], "frac_coords": [[0.135, 0.565, 0.144], [0.435, 0.865, 0.356], [0.865, 0.435, 0.856], [0.565, 0.135, 0.644], [0.000, 0.500, 0.500], [0.500, 0.000, 0.000], [0.881, 0.925, 0.433], [0.075, 0.119, 0.067], [0.119, 0.075, 0.567], [0.925, 0.881, 0.933], [0.943, 0.375, 0.364], [0.625, 0.057, 0.136], [0.057, 0.625, 0.636], [0.375, 0.943, 0.864], [0.380, 0.405, 0.391], [0.595, 0.620, 0.109], [0.620, 0.595, 0.609], [0.405, 0.380, 0.891], [0.779, 0.221, 0.250], [0.221, 0.779, 0.750], [0.711, 0.484, 0.558], [0.516, 0.289, 0.942], [0.289, 0.516, 0.442], [0.484, 0.711, 0.058], [0.063, 0.476, 0.633], [0.524, 0.937, 0.867], [0.937, 0.524, 0.367], [0.476, 0.063, 0.133], [0.815, 0.845, 0.491], [0.155, 0.185, 0.009], [0.185, 0.155, 0.509], [0.845, 0.815, 0.991], [0.514, 0.248, 0.299], [0.752, 0.486, 0.201], [0.486, 0.752, 0.701], [0.248, 0.514, 0.799], [0.892, 0.046, 0.162], [0.954, 0.108, 0.338], [0.108, 0.954, 0.838], [0.046, 0.892, 0.662]]}